The following is a DFT calculation (PBE) of a relaxed structure of NbReSi.

POSCAR file:
```
NbReSi
1.0
-3.5190 5.8093 3.3679
3.5190 -5.8093 3.3679
3.5190 5.8093 -3.3679
Nb Re Si
6 6 6
Direct
0.0034 0.2500 0.2534
0.4100 0.3751 0.5349
0.4215 0.8677 0.0538
0.8139 0.3677 0.9462
0.8402 0.8751 0.4651
0.9966 0.7500 0.7466
0.1601 0.3219 0.9092
0.1601 0.7509 0.3383
0.4127 0.2509 0.0908
0.4127 0.8219 0.6617
0.6618 0.1618 0.5000
0.6618 0.6618 0.0000
0.0819 0.4185 0.6714
0.0819 0.9104 0.1634
0.3721 0.1503 0.7218
0.4284 0.6503 0.2782
0.7471 0.4104 0.3286
0.7471 0.9185 0.8366
```


The following is a DFT calculation (PBE) of a relaxed structure of ZrS2.

POSCAR file:
```
ZrS2
1.0
3.6909 0.0000 0.0000
-1.8455 3.1964 0.0000
0.0000 0.0000 6.6111
Zr S
1 2
Direct
0.0000 0.0000 0.0000
0.3333 0.6667 0.7796
0.6667 0.3333 0.2204
```


The following is a DFT calculation (PBE) of a relaxed structure of BaSrTbTiO6.

POSCAR file:
```
BaSrTbTiO6
1.0
8.3953 0.0000 0.0000
0.0000 8.4119 0.0000
0.0000 0.0000 8.4218
Ba Sr Tb Ti O
4 4 4 4 24
Direct
0.0000 0.0000 0.0000
0.0000 0.0000 0.5000
0.0000 0.5000 0.0000
0.5000 0.5000 0.5000
0.0000 0.5000 0.5000
0.5000 0.0000 0.0000
0.5000 0.0000 0.5000
0.5000 0.5000 0.0000
0.2517 0.2509 0.7497
0.2517 0.7491 0.2503
0.7483 0.2509 0.2503
0.7483 0.7491 0.7497
0.2537 0.2525 0.2499
0.2537 0.7475 0.7501
0.7463 0.2525 0.7501
0.7463 0.7475 0.2499
0.0168 0.2636 0.2375
0.0168 0.7364 0.7625
0.2297 0.2775 0.4836
0.2297 0.7225 0.5164
0.2394 0.0161 0.2666
0.2394 0.9839 0.7334
0.2728 0.2308 0.0159
0.2728 0.7692 0.9841
0.2788 0.4835 0.2243
0.2788 0.5165 0.7757
0.4847 0.2227 0.2777
0.4847 0.7773 0.7223
0.5153 0.2227 0.7223
0.5153 0.7773 0.2777
0.7212 0.4835 0.7757
0.7212 0.5165 0.2243
0.7272 0.2308 0.9841
0.7272 0.7692 0.0159
0.7606 0.0161 0.7334
0.7606 0.9839 0.2666
0.7703 0.2775 0.5164
0.7703 0.7225 0.4836
0.9832 0.2636 0.7625
0.9832 0.7364 0.2375
```

Summary:
**M_tot**: 1.00 μB/f.u.


The following is a DFT calculation (PBE) of a relaxed structure of Mg3Ni20P6.

POSCAR file:
```
Mg3Ni20P6
1.0
0.0000 5.5459 5.5459
5.5459 0.0000 5.5459
5.5459 5.5459 0.0000
Mg Ni P
3 20 6
Direct
0.0000 0.0000 0.0000
0.2500 0.2500 0.2500
0.7500 0.7500 0.7500
0.0000 0.0000 0.3492
0.0000 0.0000 0.6508
0.0000 0.3492 0.0000
0.0000 0.3492 0.6508
0.0000 0.6508 0.0000
0.0000 0.6508 0.3492
0.1525 0.6158 0.6158
0.3492 0.0000 0.0000
0.3492 0.0000 0.6508
0.3492 0.6508 0.0000
0.3842 0.3842 0.3842
0.3842 0.3842 0.8475
0.3842 0.8475 0.3842
0.6158 0.1525 0.6158
0.6158 0.6158 0.1525
0.6158 0.6158 0.6158
0.6508 0.0000 0.0000
0.6508 0.0000 0.3492
0.6508 0.3492 0.0000
0.8475 0.3842 0.3842
0.2644 0.2644 0.7356
0.2644 0.7356 0.2644
0.2644 0.7356 0.7356
0.7356 0.2644 0.2644
0.7356 0.2644 0.7356
0.7356 0.7356 0.2644
```

Summary:
**M_tot**: 0.00 μB/f.u.


The following is a DFT calculation (PBE) of a relaxed structure of Cu2AgS2O10.

POSCAR file:
```
Cu2AgS2O10
1.0
4.4871 -3.0255 0.0000
4.4871 3.0255 0.0000
-4.3520 0.0000 7.0756
Cu Ag S O
2 1 2 10
Direct
0.0000 0.5000 0.0000
0.5000 0.0000 0.0000
0.0000 0.0000 0.5000
0.4194 0.4194 0.7075
0.5806 0.5806 0.2925
0.1664 0.1664 0.0419
0.2585 0.6717 0.2396
0.3029 0.3029 0.5029
0.3245 0.3245 0.8085
0.3283 0.7415 0.7604
0.6717 0.2585 0.2396
0.6755 0.6755 0.1915
0.6971 0.6971 0.4971
0.7415 0.3283 0.7604
0.8336 0.8336 0.9581
```

Summary:
**M_tot**: 1.00 μB/f.u.


The following is a DFT calculation (PBE) of a relaxed structure of MgMn2S4.

POSCAR file:
```
MgMn2S4
1.0
6.0322 0.0000 0.0000
0.0000 3.4363 0.0000
-0.1922 0.0000 6.3389
Mg Mn S
1 2 4
Direct
0.0000 0.0000 0.0000
0.0000 0.5000 0.5000
0.5000 0.0000 0.0000
0.2050 0.0000 0.6652
0.2909 0.5000 0.1628
0.7091 0.5000 0.8372
0.7950 0.0000 0.3348
```

Summary:
**M_tot**: 7.97 μB/f.u.


Taking the records one at a time from the top gives DFT total energy values of -29.51 -21.36 -74.93 -166.88 -80.31 -41.60 eV/f.u..